(1)
## TiS3 (PBE)

Data for TiS3 after structural relaxation.

The structure belongs to space group P2_1/m (No. 11); the cell edges are 5.0297, 3.4156 and 9.5178 Å and the angles 90.00°, 95.77° and 90.00°. The asymmetric unit holds Ti at (0.2230, 0.2500, 0.3586), S at (0.0102, 0.2500, 0.8006), S at (0.2588, 0.7500, 0.5467) and S at (0.3957, 0.7500, 0.1996).

Its total energy is -6.04 eV/atom. For the formation energy, the calculation gives -1.342 eV per atom.



(2)
## Zn3WN4 (PBE)

Data for Zn3WN4 after structural relaxation.

The structure belongs to space group Pmn2_1 (No. 31); the cell edges are 6.5854, 5.6996 and 5.3782 Å and the angles 90.00°, 90.00° and 90.00°. The asymmetric unit holds Zn at (0.0000, 0.1665, 0.0000), Zn at (0.2486, 0.3322, 0.5009), W at (0.0000, 0.8298, 0.4997), N at (0.0000, 0.1425, 0.3834), N at (0.0000, 0.8287, 0.8490) and N at (0.2363, 0.6735, 0.3839).

For the largest piezoelectric modulus, the calculation gives 2.2 C/m2. Its total energy is -6.51 eV/atom. For the formation energy, the calculation gives -0.431 eV per atom.



Q: Number 1 is which compound?
A: TiS3